(1)
This record from Materials Project describes a relaxed Li4Ti2Mn3Sb3O16 crystal. The functional is PBE+U.

Lattice parameters (Å, degrees): 6.2225 6.2225 9.7674 89.01 89.01 59.81
Sites, in units of the cell vectors:
Li  0.6696  0.6696  0.1056
Li  0.9880  0.9880  0.0135
Li  0.9966  0.9966  0.4995
Li  0.3238  0.3238  0.6000
Ti  0.6800  0.6800  0.4997
Ti  0.3568  0.3568  0.0224
Mn  0.8262  0.8262  0.7868
Mn  0.1764  0.6645  0.2897
Mn  0.6645  0.1764  0.2897
Sb  0.3344  0.8263  0.7840
Sb  0.8263  0.3344  0.7840
Sb  0.1767  0.1767  0.2840
O  0.3455  0.8517  0.4081
O  0.5102  0.5102  0.6606
O  0.6597  0.6597  0.8959
O  0.9963  0.9963  0.6856
O  0.0134  0.0134  0.1972
O  0.8517  0.3455  0.4081
O  0.5156  0.9488  0.6583
O  0.9488  0.5156  0.6583
O  0.1524  0.1524  0.8957
O  0.8286  0.8286  0.4182
O  0.0452  0.4685  0.1499
O  0.4685  0.0452  0.1499
O  0.3266  0.3266  0.3989
O  0.1668  0.6667  0.9055
O  0.4834  0.4834  0.1377
O  0.6667  0.1668  0.9055

***

(2)
This record from Materials Project describes a relaxed Li9Mn2Co5O16 crystal. The functional is PBE+U.

Distance to the lowest polymorph of the same formula ... 60 meV per atom

Lattice parameters (Å, degrees): 10.6787 10.6787 9.8481 72.68 72.68 15.72
Sites, in units of the cell vectors:
Li  0.4369  0.4369  0.8011
Li  0.3136  0.3136  0.4479
Li  0.1885  0.1885  0.0627
Li  0.8120  0.8120  0.9260
Li  0.6851  0.6851  0.5664
Li  0.5629  0.5629  0.1930
Li  0.0583  0.0583  0.6696
Li  0.9438  0.9438  0.3317
Li  0.4998  0.4998  0.5010
Mn  0.9998  0.9998  0.0008
Mn  0.7482  0.7482  0.2506
Co  0.8849  0.8849  0.6195
Co  0.6277  0.6277  0.8695
Co  0.3744  0.3744  0.1293
Co  0.2537  0.2537  0.7465
Co  0.1148  0.1148  0.3803
O  0.5270  0.5270  0.8632
O  0.4033  0.4033  0.4762
O  0.2761  0.2761  0.1113
O  0.9099  0.9099  0.9874
O  0.7797  0.7797  0.6067
O  0.6611  0.6611  0.2305
O  0.1552  0.1552  0.7306
O  0.0379  0.0379  0.3395
O  0.3420  0.3420  0.7738
O  0.2227  0.2227  0.3862
O  0.0901  0.0901  0.0154
O  0.7162  0.7162  0.8991
O  0.5979  0.5979  0.5211
O  0.4746  0.4746  0.1377
O  0.9635  0.9635  0.6578
O  0.8383  0.8383  0.2677

***

(3)
This record from Materials Project describes a relaxed Li3CrClO4 crystal. The functional is PBE+U.

Lattice parameters (Å, degrees): 6.8128 6.8128 4.8627 90.00 90.00 90.00
Sites, in units of the cell vectors:
Li  0.5000  0.0000  0.1443
Li  0.7500  0.2500  0.5000
Li  0.2500  0.2500  0.5000
Li  0.0000  0.5000  0.8557
Li  0.2500  0.7500  0.5000
Li  0.7500  0.7500  0.5000
Cr  0.0000  0.0000  0.0000
Cr  0.5000  0.5000  0.0000
Cl  0.5000  0.0000  0.6654
Cl  0.0000  0.5000  0.3346
O  0.1956  0.0000  0.2066
O  0.8044  0.0000  0.2066
O  0.0000  0.1956  0.7934
O  0.5000  0.3044  0.2066
O  0.3044  0.5000  0.7934
O  0.6956  0.5000  0.7934
O  0.5000  0.6956  0.2066
O  0.0000  0.8044  0.7934

***

(4)
This record from Materials Project describes a relaxed Y2MgV2O8 crystal. The functional is PBE+U.

Distance to the lowest polymorph of the same formula ... 27 meV per atom

Lattice parameters (Å, degrees): 6.0867 6.0867 6.2364 106.04 106.04 115.63
Sites, in units of the cell vectors:
Y  0.8465  0.1535  0.2500
Y  0.1286  0.8714  0.7500
Mg  0.1411  0.8589  0.2500
V  0.6212  0.3788  0.7500
V  0.4054  0.5946  0.2500
O  0.2544  0.1846  0.5384
O  0.1894  0.2342  0.0698
O  0.1907  0.6353  0.4120
O  0.6066  0.1941  0.9331
O  0.7658  0.8106  0.4302
O  0.8154  0.7456  0.9616
O  0.8059  0.3934  0.5669
O  0.3647  0.8093  0.0880

***

(5)
This record from Materials Project describes a relaxed Na5LiFe2P2C2O14 crystal. The functional is PBE+U.

Distance to the lowest polymorph of the same formula ... 5 meV per atom

Lattice parameters (Å, degrees): 6.6946 8.9327 10.3890 91.08 90.22 90.35
Sites, in units of the cell vectors:
Na  0.2452  0.9190  0.8799
Na  0.2511  0.9187  0.3818
Na  0.0001  0.7391  0.6243
Na  0.5006  0.7382  0.6245
Na  0.0019  0.7372  0.1251
Na  0.4967  0.7371  0.1267
Na  0.5048  0.2602  0.8723
Na  0.5031  0.2648  0.3804
Na  0.9966  0.2634  0.3781
Na  0.7536  0.0844  0.1194
Li  0.9860  0.2761  0.8776
Li  0.7576  0.0911  0.6246
Fe  0.7495  0.6451  0.8889
Fe  0.7509  0.6467  0.3923
Fe  0.2478  0.3525  0.6153
Fe  0.2466  0.3523  0.1061
P  0.2453  0.5828  0.8491
P  0.2498  0.5854  0.3533
P  0.7546  0.4029  0.6507
P  0.7484  0.4144  0.1449
C  0.7574  0.9454  0.8598
C  0.7500  0.9455  0.3691
C  0.2475  0.0606  0.6361
C  0.2492  0.0601  0.1347
O  0.2511  0.9166  0.6446
O  0.2513  0.9158  0.1428
O  0.7509  0.8846  0.9730
O  0.7519  0.8930  0.4853
O  0.7473  0.8584  0.7582
O  0.7510  0.8524  0.2704
O  0.0624  0.6817  0.8860
O  0.4343  0.6730  0.8931
O  0.0644  0.6815  0.3925
O  0.4375  0.6814  0.3922
O  0.2511  0.5624  0.6994
O  0.7502  0.5570  0.5846
O  0.2485  0.5620  0.2041
O  0.7478  0.5690  0.0808
O  0.2330  0.4260  0.9100
O  0.7714  0.4290  0.8003
O  0.2500  0.4331  0.4205
O  0.7538  0.4368  0.2940
O  0.5660  0.3060  0.6191
O  0.9318  0.3039  0.6051
O  0.5602  0.3197  0.1064
O  0.9322  0.3196  0.1006
O  0.2422  0.1460  0.7390
O  0.2462  0.1446  0.2382
O  0.2493  0.1236  0.5240
O  0.2497  0.1229  0.0227
O  0.7732  0.0892  0.8474
O  0.7472  0.0878  0.3509

***

(6)
This record from Materials Project describes a relaxed MgTi3Fe2CoP6O24 crystal. The functional is PBE+U.

Distance to the lowest polymorph of the same formula ... 32 meV per atom

Lattice parameters (Å, degrees): 8.8182 8.7471 8.7462 59.92 59.68 59.70
Sites, in units of the cell vectors:
Mg  0.8716  0.3754  0.3772
Ti  0.0327  0.6552  0.6548
Ti  0.4314  0.8572  0.8566
Ti  0.2616  0.2468  0.2451
Fe  0.9939  0.0037  0.0028
Fe  0.4738  0.5080  0.5073
Co  0.6059  0.1306  0.1317
P  0.2338  0.2558  0.5580
P  0.2344  0.9514  0.2565
P  0.2338  0.5596  0.9505
P  0.7339  0.4632  0.0501
P  0.7329  0.0497  0.7532
P  0.7349  0.7526  0.4635
O  0.0758  0.1300  0.3067
O  0.0756  0.4893  0.1273
O  0.0760  0.3061  0.4892
O  0.2218  0.0934  0.7453
O  0.4074  0.2026  0.3865
O  0.2405  0.4195  0.5737
O  0.2227  0.9409  0.0928
O  0.2415  0.7640  0.4188
O  0.5602  0.6089  0.9909
O  0.2452  0.5743  0.7621
O  0.7850  0.2667  0.0486
O  0.5597  0.9902  0.8391
O  0.4073  0.0008  0.2033
O  0.2177  0.7479  0.9403
O  0.6903  0.4574  0.2478
O  0.4074  0.3903  0.0012
O  0.6926  0.2454  0.6038
O  0.7800  0.0468  0.9018
O  0.6955  0.6028  0.4585
O  0.5598  0.8397  0.6111
O  0.7828  0.9011  0.2691
O  0.9051  0.6631  0.5294
O  0.9049  0.5283  0.9046
O  0.9051  0.9026  0.6623

***

(7)
This record from Materials Project describes a relaxed NdCuMo2O8 crystal. The functional is PBE+U.

Lattice parameters (Å, degrees): 10.0556 10.4917 14.9671 90.00 90.00 90.00
Sites, in units of the cell vectors:
Nd  0.7774  0.0350  0.8963
Nd  0.7774  0.5350  0.6037
Nd  0.2226  0.4650  0.3963
Nd  0.7226  0.0350  0.3963
Nd  0.7226  0.5350  0.1037
Nd  0.2774  0.4650  0.8963
Nd  0.2774  0.9650  0.6037
Nd  0.2226  0.9650  0.1037
Cu  0.6935  0.6815  0.3056
Cu  0.1935  0.3185  0.1944
Cu  0.6935  0.1815  0.1944
Cu  0.3065  0.3185  0.6944
Cu  0.8065  0.1815  0.6944
Cu  0.3065  0.8185  0.8056
Cu  0.8065  0.6815  0.8056
Cu  0.1935  0.8185  0.3056
Mo  0.3289  0.6026  0.1534
Mo  0.9981  0.2208  0.5582
Mo  0.0019  0.7792  0.4418
Mo  0.8289  0.8974  0.1534
Mo  0.6711  0.3974  0.8466
Mo  0.1711  0.6026  0.6534
Mo  0.6711  0.8974  0.6534
Mo  0.8289  0.3974  0.3466
Mo  0.3289  0.1026  0.3466
Mo  0.5019  0.2208  0.0582
Mo  0.9981  0.7208  0.9418
Mo  0.1711  0.1026  0.8466
Mo  0.5019  0.7208  0.4418
Mo  0.4981  0.2792  0.5582
Mo  0.4981  0.7792  0.9418
Mo  0.0019  0.2792  0.0582
O  0.7863  0.4229  0.4604
O  0.5930  0.1343  0.9759
O  0.6137  0.3164  0.1316
O  0.6055  0.6676  0.9957
O  0.1055  0.3324  0.5043
O  0.3863  0.1836  0.6316
O  0.7137  0.4229  0.9604
O  0.0985  0.1149  0.6242
O  0.9015  0.3851  0.1242
O  0.2742  0.7618  0.1834
O  0.4956  0.9124  0.6654
O  0.4956  0.4124  0.8346
O  0.9070  0.1343  0.4759
O  0.1137  0.1836  0.1316
O  0.3945  0.3324  0.0043
O  0.0044  0.4124  0.3346
O  0.5930  0.6343  0.5241
O  0.2556  0.4872  0.7266
O  0.2444  0.9872  0.2734
O  0.9070  0.6343  0.0241
O  0.8945  0.6676  0.4957
O  0.9956  0.0876  0.8346
O  0.0930  0.3657  0.9759
O  0.8863  0.8164  0.8684
O  0.7444  0.5128  0.2734
O  0.1137  0.6836  0.3684
O  0.5044  0.5876  0.1654
O  0.4070  0.3657  0.4759
O  0.7258  0.2382  0.8166
O  0.8863  0.3164  0.6316
O  0.7258  0.7382  0.6834
O  0.2137  0.0771  0.9604
O  0.2258  0.2618  0.8166
O  0.2863  0.5771  0.0396
O  0.8945  0.1676  0.0043
O  0.7742  0.7382  0.1834
O  0.3945  0.8324  0.4957
O  0.5985  0.8851  0.8758
O  0.6055  0.1676  0.5043
O  0.9956  0.5876  0.6654
O  0.2556  0.9872  0.7734
O  0.0985  0.6149  0.8758
O  0.7556  0.5128  0.7734
O  0.4070  0.8657  0.0241
O  0.3863  0.6836  0.8684
O  0.2137  0.5771  0.5396
O  0.6137  0.8164  0.3684
O  0.0044  0.9124  0.1654
O  0.5985  0.3851  0.6242
O  0.1055  0.8324  0.9957
O  0.2863  0.0771  0.4604
O  0.7863  0.9229  0.0396
O  0.7556  0.0128  0.7266
O  0.9015  0.8851  0.3758
O  0.4015  0.6149  0.3758
O  0.7137  0.9229  0.5396
O  0.2258  0.7618  0.6834
O  0.4015  0.1149  0.1242
O  0.7742  0.2382  0.3166
O  0.2742  0.2618  0.3166
O  0.2444  0.4872  0.2266
O  0.7444  0.0128  0.2266
O  0.5044  0.0876  0.3346
O  0.0930  0.8657  0.5241

***

(8)
This record from Materials Project describes a relaxed FeBiPPbO7 crystal. The functional is PBE+U.

Lattice parameters (Å, degrees): 6.2610 6.2610 7.7676 70.48 70.48 38.34
Sites, in units of the cell vectors:
Fe  0.0012  0.0012  0.9859
Bi  0.2619  0.2619  0.1899
P  0.5282  0.5282  0.5894
Pb  0.7537  0.7537  0.7928
O  0.1648  0.1648  0.9871
O  0.8241  0.8241  0.0488
O  0.3945  0.3945  0.6171
O  0.6151  0.6151  0.3926
O  0.4614  0.4614  0.0743
O  0.3021  0.8235  0.7142
O  0.8235  0.3021  0.7142

***

(9)
This record from Materials Project describes a relaxed Li9Mn7O16 crystal. The functional is PBE+U.

Distance to the lowest polymorph of the same formula ... 4 meV per atom

Lattice parameters (Å, degrees): 6.0611 6.0611 9.7327 84.23 84.23 56.60
Sites, in units of the cell vectors:
Li  0.3819  0.8698  0.7504
Li  0.6181  0.1302  0.2496
Li  0.8698  0.3819  0.7504
Li  0.8714  0.8714  0.7564
Li  0.1286  0.1286  0.2436
Li  0.3771  0.3771  0.7592
Li  0.6229  0.6229  0.2408
Li  0.1302  0.6181  0.2496
Li  0.5000  0.5000  0.0000
Mn  0.0000  0.0000  0.0000
Mn  0.5000  0.0000  0.0000
Mn  0.2496  0.2496  0.5008
Mn  0.7504  0.7504  0.4992
Mn  0.7501  0.2499  0.5000
Mn  0.0000  0.5000  0.0000
Mn  0.2499  0.7501  0.5000
O  0.1584  0.6806  0.8966
O  0.4467  0.9477  0.3834
O  0.6806  0.1584  0.8966
O  0.6939  0.6939  0.8864
O  0.9486  0.9486  0.3806
O  0.1995  0.1995  0.8821
O  0.4494  0.4494  0.3797
O  0.9477  0.4467  0.3834
O  0.5533  0.0523  0.6166
O  0.8416  0.3194  0.1034
O  0.0523  0.5533  0.6166
O  0.0514  0.0514  0.6194
O  0.3061  0.3061  0.1136
O  0.5506  0.5506  0.6203
O  0.8005  0.8005  0.1179
O  0.3194  0.8416  0.1034

***

(10)
This record from Materials Project describes a relaxed Li2VF5 crystal. The functional is PBE+U.

Distance to the lowest polymorph of the same formula ... 42 meV per atom

Lattice parameters (Å, degrees): 6.3987 7.6199 8.1299 90.00 90.00 90.00
Sites, in units of the cell vectors:
Li  0.9870  0.5887  0.9748
Li  0.7900  0.2512  0.2821
Li  0.7100  0.7488  0.7821
Li  0.5130  0.4113  0.4748
Li  0.4870  0.9113  0.0252
Li  0.2900  0.2488  0.7179
Li  0.2100  0.7512  0.2179
Li  0.0130  0.0887  0.5252
V  0.7675  0.7530  0.3517
V  0.7325  0.2470  0.8517
V  0.2675  0.7470  0.6483
V  0.2325  0.2530  0.1483
F  0.9899  0.2322  0.7249
F  0.9156  0.7479  0.1446
F  0.9184  0.2522  0.0597
F  0.7910  0.0038  0.3898
F  0.7612  0.5009  0.3775
F  0.7090  0.9962  0.8898
F  0.7388  0.4991  0.8775
F  0.5816  0.7478  0.5597
F  0.5844  0.2521  0.6446
F  0.5101  0.7678  0.2249
F  0.4899  0.2678  0.2751
F  0.4156  0.7521  0.8554
F  0.4184  0.2478  0.9403
F  0.2910  0.4962  0.6102
F  0.2612  0.9991  0.6225
F  0.2388  0.0009  0.1225
F  0.2090  0.5038  0.1102
F  0.0816  0.7522  0.4403
F  0.0844  0.2479  0.3554
F  0.0101  0.7322  0.7751

***

Energy across the listed records, respectively: -6.846; -5.795; -5.589; -7.941; -6.510; -7.472; -7.124; -6.245; -6.447; -5.473 eV per atom.
E_form across the listed records, respectively: -2.3287; -1.8046; -2.0032; -3.0647; -2.2832; -2.6629; -2.2704; -1.7856; -2.1401; -3.1647 eV/atom.